No. 1
Entry from the Materials Project database: a relaxed structure of CrH20N2O6F5 (PBE+U).

Results
ρ in g/cm³: 1.40
E_form in eV per atom: -1.017
Magnetization in μB per cell: 2.00
E (MP2020) in eV per atom: -4.942

```
68
Lattice="-8.661 -1.698 -2.510 8.387 -1.010 -3.581 0.524 -11.077 4.901" Properties=species:S:1:pos:R:3 pbc="T T T"
F -0.053 -4.585 -2.860
F -5.895 -9.811 1.586
F 2.514 -11.489 1.637
F -6.203 -4.727 -1.887
F -1.980 -7.614 0.116
F 6.145 -3.974 -2.777
F 0.303 -9.199 1.670
F 6.453 -9.057 0.697
F -2.264 -2.295 -2.828
F 2.230 -6.171 -1.307
Cr 0.262 -5.538 2.450
Cr 0.000 0.000 0.000
O 1.210 -6.617 -3.493
O -1.475 -7.198 -3.327
O 1.676 -10.134 3.503
O 0.031 -1.560 -1.006
O 1.725 -6.586 2.136
O 0.104 -5.237 0.625
O -0.959 -7.167 2.303
O 0.146 -8.548 -1.816
O 0.219 -12.225 -0.185
O -0.993 -10.558 4.024
O 1.243 -3.226 -5.215
O -1.425 -3.650 -4.694
H -2.011 -2.812 -3.661
H -0.348 -7.961 2.100
H 1.899 -6.433 -2.227
H -1.163 -4.851 -1.700
H -6.411 -10.905 1.347
H -0.882 -10.200 1.176
H -6.526 -8.775 0.400
H 4.371 -6.773 -0.813
H 1.095 -11.942 0.165
H 1.414 -8.934 0.510
H -4.121 -7.012 -0.378
H -6.663 -5.266 -0.878
H 6.913 -8.518 -0.312
H -2.221 -5.884 -0.711
H 2.174 -3.071 -0.972
H -2.080 -4.127 -0.311
H 4.549 -1.797 -3.036
H 1.133 -3.585 -2.366
H 1.025 -9.732 2.826
H -1.648 -7.351 1.036
H -4.559 -6.432 -0.566
H -0.690 -8.449 -1.308
H 6.777 -5.010 -1.591
H -6.778 -3.133 -1.817
H 2.261 -10.973 2.471
H -4.299 -11.988 1.846
H 6.661 -2.880 -2.537
H -1.924 -10.714 -0.219
H 4.809 -7.352 -0.624
H 0.598 -5.824 -3.291
H -0.844 -1.842 -1.356
H 4.107 -1.254 -3.307
H -3.857 -12.531 2.116
H 0.941 -5.336 0.117
H 2.471 -7.900 -0.480
H 2.330 -9.657 -0.879
H 7.028 -10.652 0.626
H -1.976 -11.591 1.361
H -0.775 -4.052 -4.016
H 2.226 -2.194 -2.551
N 2.085 -8.832 -0.283
N -1.835 -4.953 -0.908
N 1.858 -2.951 -1.963
N -1.608 -10.833 0.773
```

=====

No. 2
Entry from the Materials Project database: a relaxed structure of CrH20N2O6F5 (PBE+U).

Results
ρ in g/cm³: 1.64
E_form in eV per atom: -1.396
Magnetization in μB per cell: 6.00
E (MP2020) in eV per atom: -5.321

```
68
Lattice="-1.502 -1.998 -6.693 2.152 -4.749 4.884 -12.813 -2.216 3.662" Properties=species:S:1:pos:R:3 pbc="T T T"
H -10.540 -3.506 3.221
H -7.376 -3.030 0.206
H -5.429 -3.796 -1.335
H -4.012 -2.232 1.961
H -5.079 -3.448 2.130
H -7.889 -3.881 -2.302
H -1.623 -5.456 -1.367
H -8.390 -2.829 1.465
H -3.774 -6.134 0.389
H -11.261 -6.885 3.337
H -1.787 -3.309 1.903
H -7.085 -5.515 -0.276
H -1.341 -4.838 2.488
H -10.321 -4.309 0.986
H -3.808 -4.305 -1.141
H -0.330 -4.028 1.365
H -8.012 -6.305 3.228
H -4.274 -5.082 4.155
H -9.198 -5.988 6.522
H -10.004 -7.645 2.638
H -10.376 -5.654 -0.049
H -2.965 -2.974 -4.668
H -4.345 -3.747 -2.661
H -7.818 -5.216 4.515
H -4.787 -5.932 1.648
H -0.902 -2.077 -1.483
H -9.424 -3.541 -2.692
H -11.440 -4.483 4.164
H -8.152 -6.731 -0.107
H -1.498 -2.605 -4.088
H -6.734 -5.167 3.188
H -0.723 -4.480 -2.311
H -2.160 -1.318 -0.784
H -4.151 -2.658 -1.374
H -11.833 -4.934 0.488
H -2.740 -5.422 4.546
H -8.355 -4.658 2.995
H -10.822 -4.125 -0.634
H -10.665 -6.358 5.942
H -1.842 -4.654 0.868
O -0.879 -5.452 -2.061
O -3.642 -5.125 4.929
O -10.015 -6.592 6.663
O -10.996 -7.450 2.537
O -7.206 -6.438 0.124
O -4.957 -2.524 1.729
O -8.521 -3.838 -3.075
O -1.167 -1.513 -0.683
O -11.284 -3.510 3.915
O -4.472 -6.607 0.957
O -7.691 -2.355 0.897
O -2.149 -2.371 -4.810
F -10.661 -3.114 -1.960
F -4.070 -3.920 -4.304
F -2.748 -5.275 -0.350
F -1.503 -5.849 3.813
F -9.415 -3.688 2.204
F -8.094 -5.042 6.157
F -7.069 -4.077 -0.877
F -0.659 -2.998 -2.715
F -11.504 -5.964 4.569
F -5.094 -4.885 2.730
Cr -6.407 -1.108 1.831
Cr 0.000 0.000 0.000
N -10.847 -4.755 0.200
N -1.316 -4.208 1.654
N -4.442 -3.630 -1.626
N -7.721 -5.333 3.480
```

=====

No. 3
Entry from the Materials Project database: a relaxed structure of CrH20N2O6F5 (PBE+U).

Results
ρ in g/cm³: 1.68
E_form in eV per atom: -1.397
Magnetization in μB per cell: 6.00
E (MP2020) in eV per atom: -5.321

```
68
Lattice="0.737 6.965 -0.555 -4.735 -3.358 -3.959 -9.293 1.751 9.631" Properties=species:S:1:pos:R:3 pbc="T T T"
H -7.514 2.092 0.693
H -11.945 3.121 5.689
H -5.897 0.981 2.455
H -7.884 5.495 6.494
H -5.701 5.871 4.024
H -3.362 3.442 1.772
H -4.547 3.690 0.584
H -4.177 0.043 -0.222
H -6.652 2.423 5.516
H -7.358 -1.292 -0.323
H -7.590 -0.513 1.093
H -6.639 2.936 -0.399
H -1.534 5.998 0.346
H -8.744 1.668 4.533
H -8.914 4.936 2.876
H -9.114 5.315 5.340
H -4.833 4.230 2.193
H -0.872 4.831 -0.586
H -1.712 1.755 0.945
H -8.518 3.956 6.162
H -8.458 1.128 2.925
H -11.757 -0.640 4.771
H -8.978 1.729 7.022
H -2.713 3.819 -2.178
H -12.419 0.527 5.703
H -4.377 0.423 2.241
H -9.624 0.351 3.924
H -4.313 3.630 -1.905
H -5.933 6.651 5.440
H -10.578 1.539 7.296
H -7.394 4.377 2.662
H -5.777 3.266 4.424
H -3.811 0.253 -1.891
H -3.667 5.007 1.193
H -5.407 -0.136 -1.377
H -1.346 2.238 -0.572
H -9.480 5.106 7.008
H -4.773 1.402 -1.045
H -11.579 3.604 4.172
H -9.929 1.916 3.345
F -10.384 -1.107 4.369
F -5.988 4.448 3.390
F -5.205 3.038 -0.846
F -8.086 2.320 5.964
F -7.303 0.911 1.728
F -3.645 -0.499 1.303
F -6.438 6.335 6.823
F -1.341 3.572 -1.426
F -2.118 2.382 2.253
F -11.950 1.786 6.543
O -9.666 1.359 7.684
O -5.606 6.765 4.478
O -7.581 2.795 -0.025
O -8.329 4.332 2.292
O -1.432 1.426 0.018
O -5.710 2.563 5.142
O -0.648 5.608 0.014
O -3.625 4.000 -2.566
O -12.643 -0.250 5.103
O -11.859 3.933 5.100
O -4.962 1.027 2.825
O -7.685 -1.407 0.640
Cr -4.647 0.876 4.815
Cr 0.000 0.000 0.000
N -8.760 4.970 6.262
N -4.113 4.094 1.447
N -9.178 1.264 3.671
N -4.531 0.389 -1.145
```

=====

No. 4
Entry from the Materials Project database: a relaxed structure of Na2CrH2F8 (PBE+U).

Results
ρ in g/cm³: 2.80
E_form in eV per atom: -2.565
Magnetization in μB per cell: 2.00
E (MP2020) in eV per atom: -5.212

```
13
Lattice="2.229 -3.436 -3.641 4.678 2.673 1.001 3.148 -3.450 2.878" Properties=species:S:1:pos:R:3 pbc="T T T"
F 8.364 -3.337 -0.022
F 1.691 -0.876 0.261
F 7.841 -1.125 2.072
F 2.215 -3.088 -1.833
F 3.872 1.046 1.308
F 6.183 -5.259 -1.070
F 6.045 -2.948 0.690
F 4.011 -1.265 -0.451
Na 4.446 -3.558 -0.984
Na 5.610 -0.655 1.222
Cr 0.000 0.000 0.000
H 6.979 -3.197 0.525
H 3.076 -1.016 -0.287
```

=====

No. 5
Entry from the Materials Project database: a relaxed structure of CrHgF6 (PBE+U).

Results
ρ in g/cm³: 5.18
E_form in eV per atom: -2.309
E (MP2020) in eV per atom: -4.989

```
8
Lattice="5.087 -2.643 0.000 5.087 2.643 0.000 3.713 0.000 4.367" Properties=species:S:1:pos:R:3 pbc="T T T"
F 7.762 1.126 4.066
F 8.752 0.780 0.918
F 8.167 -1.905 2.778
F 6.125 -1.126 0.301
F 5.720 1.905 1.589
F 5.135 -0.780 3.449
Cr 0.000 0.000 0.000
Hg 6.943 0.000 2.184
```

=====

No. 6
Entry from the Materials Project database: a relaxed structure of Cr3HgF6 (PBE+U).

Results
ρ in g/cm³: 0.68
E_form in eV per atom: -1.641
Magnetization in μB per cell: 4.00
E (MP2020) in eV per atom: -5.716

```
10
Lattice="8.660 0.000 0.000 -3.931 8.084 0.000 -0.024 -2.854 16.310" Properties=species:S:1:pos:R:3 pbc="T T T"
Cr -1.965 4.042 0.000
Cr -0.012 -1.427 8.155
Cr 4.330 0.000 0.000
Hg 0.000 0.000 0.000
F 5.234 5.053 0.420
F -0.156 -1.148 9.951
F 4.861 6.378 6.360
F 3.120 -2.482 14.973
F -0.529 0.177 15.891
F 1.585 7.712 1.338
```

=====

No. 7
Entry from the Materials Project database: a relaxed structure of K2CrHgF6 (PBE+U).

Results
ρ in g/cm³: 4.18
E_form in eV per atom: -2.637
Magnetization in μB per cell: 3.98
E (MP2020) in eV per atom: -5.003

```
10
Lattice="6.301 0.000 0.000 3.150 5.457 0.000 3.150 1.819 5.145" Properties=species:S:1:pos:R:3 pbc="T T T"
F 6.301 5.689 4.022
F 4.525 2.612 4.022
F 6.301 1.587 1.122
F 8.077 2.612 4.022
F 8.077 4.663 1.122
F 4.525 4.663 1.122
Hg 6.301 3.638 2.572
K 3.150 1.819 1.286
K 9.451 5.457 3.858
Cr 0.000 0.000 0.000
```

=====

No. 8
Entry from the Materials Project database: a relaxed structure of Na2CrHgF6 (PBE+U).

Results
ρ in g/cm³: 4.04
E_form in eV per atom: -2.464
Magnetization in μB per cell: 3.91
E (MP2020) in eV per atom: -4.873

```
10
Lattice="6.214 0.000 0.000 3.107 5.381 0.000 3.107 1.794 5.074" Properties=species:S:1:pos:R:3 pbc="T T T"
F 7.952 4.591 1.117
F 6.214 5.595 3.956
F 7.952 2.584 3.956
F 6.214 1.580 1.117
F 4.475 2.584 3.956
F 4.475 4.591 1.117
Cr 0.000 0.000 0.000
Hg 6.214 3.588 2.537
Na 3.107 1.794 1.268
Na 9.321 5.381 3.805
```

=====

no.,volume (Å³ per atom)
1,10.165
2,8.673
3,8.486
4,11.514
5,14.678
6,114.185
7,17.688
8,16.966